A relaxed structure of CsPb2Cl5, computed with GGA-PBE. Values from VASP.

* space-group type: I4/mcm
* energy of formation from the pure elements: -1768 meV per atom
* total energy: -3.580 eV per atom
* crystal system: tetragonal
* energy above the lowest structure with this stoichiometry: 0 meV/atom

Structure (Quantum ESPRESSO input):
```
&SYSTEM
  ibrav = 0, nat = 16, ntyp = 3
/
ATOMIC_SPECIES
Cs 132.91 Cs.upf
Pb 207.20 Pb.upf
Cl 35.45 Cl.upf
ATOMIC_POSITIONS crystal
Cs 0.250 0.250 0.000
Cs 0.750 0.750 0.000
Pb 0.830 0.330 0.161
Pb 0.670 0.830 0.500
Pb 0.330 0.170 0.500
Pb 0.170 0.670 0.839
Cl 0.000 0.000 0.000
Cl 0.500 0.500 0.000
Cl 0.968 0.776 0.500
Cl 0.776 0.276 0.809
Cl 0.468 0.968 0.191
Cl 0.276 0.468 0.500
Cl 0.724 0.532 0.500
Cl 0.532 0.032 0.809
Cl 0.224 0.724 0.191
Cl 0.032 0.224 0.500
CELL_PARAMETERS angstrom
4.296 -6.636 5.523
7.860 4.329 3.532
-9.166 2.995 0.088
```


A relaxed structure of Rb2PdI2Br4, computed with GGA-PBE. Values from VASP.

* space-group type: I4/mmm
* energy of formation from the pure elements: -1152 meV per atom
* total energy: -2.774 eV per atom
* crystal system: tetragonal

Structure (Quantum ESPRESSO input):
```
&SYSTEM
  ibrav = 0, nat = 9, ntyp = 4
/
ATOMIC_SPECIES
Rb 85.47 Rb.upf
Pd 106.42 Pd.upf
I 126.90 I.upf
Br 79.90 Br.upf
ATOMIC_POSITIONS crystal
Rb 0.250 0.750 0.500
Rb 0.750 0.250 0.500
Pd 0.000 0.000 0.000
I 0.340 0.340 0.000
I 0.660 0.660 0.000
Br 0.794 0.206 0.000
Br 0.794 0.794 0.589
Br 0.206 0.794 0.000
Br 0.206 0.206 0.411
CELL_PARAMETERS angstrom
3.389 -6.176 2.663
-1.384 4.405 5.950
-6.378 -1.759 -3.600
```


A relaxed structure of Li2CoN2, computed with GGA-PBE. Values from VASP.

* space-group type: P-3m1
* energy of formation from the pure elements: -225 meV per atom
* total energy: -5.601 eV per atom
* crystal system: trigonal

Structure (Quantum ESPRESSO input):
```
&SYSTEM
  ibrav = 0, nat = 5, ntyp = 3
/
ATOMIC_SPECIES
Li 6.94 Li.upf
Co 58.93 Co.upf
N 14.01 N.upf
ATOMIC_POSITIONS crystal
Li 0.667 0.333 0.348
Li 0.333 0.667 0.652
Co 0.000 0.000 0.000
N 0.667 0.333 0.806
N 0.333 0.667 0.194
CELL_PARAMETERS angstrom
3.021 0.000 0.000
-1.511 2.616 0.000
0.000 0.000 5.145
```


A relaxed structure of TiRu3, computed with GGA-PBE. Values from VASP.

* space-group type: Pm-3m
* energy of formation from the pure elements: -208 meV per atom
* total energy: -9.138 eV per atom
* crystal system: cubic

Structure (Quantum ESPRESSO input):
```
&SYSTEM
  ibrav = 0, nat = 4, ntyp = 2
/
ATOMIC_SPECIES
Ti 47.87 Ti.upf
Ru 101.07 Ru.upf
ATOMIC_POSITIONS crystal
Ti 0.000 0.000 0.000
Ru 0.500 0.500 0.000
Ru 0.500 0.000 0.500
Ru 0.000 0.500 0.500
CELL_PARAMETERS angstrom
3.860 0.000 0.000
0.000 3.860 0.000
0.000 0.000 3.860
```


A relaxed structure of Li3Sn3Pt2, computed with GGA-PBE. Values from VASP.

* space-group type: Ia-3
* energy of formation from the pure elements: -559 meV per atom
* total energy: -4.296 eV per atom
* crystal system: cubic

Structure (Quantum ESPRESSO input):
```
&SYSTEM
  ibrav = 0, nat = 64, ntyp = 3
/
ATOMIC_SPECIES
Li 6.94 Li.upf
Sn 118.71 Sn.upf
Pt 195.08 Pt.upf
ATOMIC_POSITIONS crystal
Li 0.756 0.756 0.756
Li 0.244 0.244 0.244
Li 0.744 0.000 0.500
Li 0.500 0.744 0.000
Li 0.256 0.000 0.500
Li 0.500 0.256 0.000
Li 0.000 0.500 0.744
Li 0.000 0.500 0.256
Li 0.741 0.491 0.750
Li 0.259 0.509 0.250
Li 0.759 0.009 0.250
Li 0.491 0.750 0.741
Li 0.241 0.991 0.750
Li 0.509 0.250 0.259
Li 0.009 0.250 0.759
Li 0.991 0.750 0.241
Li 0.750 0.741 0.491
Li 0.250 0.259 0.509
Li 0.250 0.759 0.009
Li 0.750 0.241 0.991
Li 0.000 0.000 0.000
Li 0.500 0.000 0.500
Li 0.500 0.500 0.000
Li 0.000 0.500 0.500
Sn 0.527 0.765 0.520
Sn 0.473 0.235 0.480
Sn 0.973 0.993 0.738
Sn 0.255 0.735 0.762
Sn 0.765 0.520 0.527
Sn 0.027 0.007 0.262
Sn 0.745 0.265 0.238
Sn 0.235 0.480 0.473
Sn 0.245 0.507 0.980
Sn 0.993 0.738 0.973
Sn 0.755 0.493 0.020
Sn 0.007 0.262 0.027
Sn 0.735 0.762 0.255
Sn 0.265 0.238 0.745
Sn 0.507 0.980 0.245
Sn 0.493 0.020 0.755
Sn 0.520 0.527 0.765
Sn 0.480 0.473 0.235
Sn 0.762 0.255 0.735
Sn 0.238 0.745 0.265
Sn 0.980 0.245 0.507
Sn 0.020 0.755 0.493
Sn 0.738 0.973 0.993
Sn 0.262 0.027 0.007
Pt 0.525 0.275 0.750
Pt 0.475 0.725 0.250
Pt 0.975 0.225 0.250
Pt 0.275 0.750 0.525
Pt 0.025 0.775 0.750
Pt 0.725 0.250 0.475
Pt 0.225 0.250 0.975
Pt 0.775 0.750 0.025
Pt 0.750 0.525 0.275
Pt 0.250 0.475 0.725
Pt 0.250 0.975 0.225
Pt 0.750 0.025 0.775
Pt 0.500 0.500 0.500
Pt 0.000 0.000 0.500
Pt 0.500 0.000 0.000
Pt 0.000 0.500 0.000
CELL_PARAMETERS angstrom
-6.564 -6.564 6.564
-6.564 6.564 -6.564
6.564 -6.564 -6.564
```


A relaxed structure of Li2CuCSO7, computed with GGA-PBE. Values from VASP.

* space-group type: P2_1/m
* energy of formation from the pure elements: -1871 meV per atom
* total energy: -6.130 eV per atom
* crystal system: monoclinic

Structure (Quantum ESPRESSO input):
```
&SYSTEM
  ibrav = 0, nat = 24, ntyp = 5
/
ATOMIC_SPECIES
Li 6.94 Li.upf
Cu 63.55 Cu.upf
C 12.01 C.upf
S 32.06 S.upf
O 16.00 O.upf
ATOMIC_POSITIONS crystal
Li 0.015 0.776 0.789
Li 0.485 0.776 0.789
Li 0.515 0.224 0.211
Li 0.985 0.224 0.211
Cu 0.250 0.232 0.645
Cu 0.750 0.768 0.355
C 0.250 0.278 0.940
C 0.750 0.722 0.060
S 0.750 0.284 0.581
S 0.250 0.716 0.419
O 0.750 0.727 0.910
O 0.250 0.055 0.863
O 0.250 0.497 0.851
O 0.933 0.184 0.670
O 0.567 0.184 0.670
O 0.250 0.807 0.583
O 0.750 0.587 0.570
O 0.250 0.413 0.430
O 0.750 0.193 0.417
O 0.433 0.816 0.330
O 0.067 0.816 0.330
O 0.750 0.503 0.149
O 0.750 0.945 0.137
O 0.250 0.273 0.090
CELL_PARAMETERS angstrom
-5.189 -0.798 3.839
0.051 -4.911 -0.953
5.106 -1.668 6.556
```


A relaxed structure of K3CoC6N6, computed with GGA-PBE. Values from VASP.

* space-group type: P2_1/c
* energy of formation from the pure elements: -297 meV per atom
* total energy: -7.401 eV per atom
* crystal system: monoclinic
* energy above the lowest structure with this stoichiometry: 0 meV/atom

Structure (Quantum ESPRESSO input):
```
&SYSTEM
  ibrav = 0, nat = 32, ntyp = 4
/
ATOMIC_SPECIES
K 39.10 K.upf
Co 58.93 Co.upf
C 12.01 C.upf
N 14.01 N.upf
ATOMIC_POSITIONS crystal
K 0.220 0.502 0.875
K 0.720 0.498 0.625
K 0.500 0.000 0.500
K 0.000 0.000 0.000
K 0.280 0.502 0.375
K 0.780 0.498 0.125
Co 0.500 0.000 0.000
Co 0.000 0.000 0.500
C 0.661 0.119 0.974
C 0.839 0.119 0.474
C 0.339 0.881 0.026
C 0.161 0.881 0.526
C 0.944 0.824 0.388
C 0.444 0.176 0.112
C 0.056 0.176 0.612
C 0.556 0.824 0.888
C 0.450 0.179 0.797
C 0.950 0.821 0.703
C 0.550 0.821 0.203
C 0.050 0.179 0.297
N 0.592 0.716 0.816
N 0.092 0.284 0.684
N 0.408 0.284 0.184
N 0.908 0.716 0.316
N 0.740 0.199 0.455
N 0.760 0.199 0.955
N 0.260 0.801 0.545
N 0.240 0.801 0.045
N 0.422 0.291 0.669
N 0.922 0.709 0.831
N 0.578 0.709 0.331
N 0.078 0.291 0.169
CELL_PARAMETERS angstrom
10.488 0.000 0.000
0.000 7.148 0.000
0.000 2.521 8.048
```


A relaxed structure of Ba2CuSO2, computed with GGA-PBE. Values from VASP.

* space-group type: P4/mmm
* energy of formation from the pure elements: -2059 meV per atom
* total energy: -5.407 eV per atom
* crystal system: tetragonal

Structure (Quantum ESPRESSO input):
```
&SYSTEM
  ibrav = 0, nat = 6, ntyp = 4
/
ATOMIC_SPECIES
Ba 137.33 Ba.upf
Cu 63.55 Cu.upf
S 32.06 S.upf
O 16.00 O.upf
ATOMIC_POSITIONS crystal
Ba 0.500 0.500 0.757
Ba 0.500 0.500 0.243
Cu 0.000 0.000 0.500
S 0.000 0.000 0.000
O 0.000 0.500 0.500
O 0.500 0.000 0.500
CELL_PARAMETERS angstrom
-2.632 2.850 0.954
-1.213 -2.168 3.129
5.094 3.281 4.248
```


A relaxed structure of ZrAlOs, computed with GGA-PBE. Values from VASP.

* space-group type: Amm2
* energy of formation from the pure elements: -515 meV per atom
* total energy: -8.355 eV per atom
* crystal system: orthorhombic

Structure (Quantum ESPRESSO input):
```
&SYSTEM
  ibrav = 0, nat = 12, ntyp = 3
/
ATOMIC_SPECIES
Zr 91.22 Zr.upf
Al 26.98 Al.upf
Os 190.23 Os.upf
ATOMIC_POSITIONS crystal
Zr 0.335 0.665 0.202
Zr 0.673 0.327 0.321
Zr 0.673 0.327 0.679
Zr 0.335 0.665 0.798
Al 0.995 0.005 0.251
Al 0.995 0.005 0.749
Al 0.829 0.657 0.000
Al 0.343 0.171 0.000
Os 0.830 0.170 0.000
Os 0.167 0.340 0.500
Os 0.660 0.833 0.500
Os 0.164 0.836 0.500
CELL_PARAMETERS angstrom
-4.576 1.507 -2.203
-0.053 -3.624 3.863
-0.746 6.134 5.744
```


A relaxed structure of Ga2Pt, computed with GGA-PBE. Values from VASP.

* space-group type: I4_1/acd
* energy of formation from the pure elements: -572 meV per atom
* total energy: -4.614 eV per atom
* crystal system: tetragonal

Structure (Quantum ESPRESSO input):
```
&SYSTEM
  ibrav = 0, nat = 48, ntyp = 2
/
ATOMIC_SPECIES
Ga 69.72 Ga.upf
Pt 195.08 Pt.upf
ATOMIC_POSITIONS crystal
Ga 0.165 0.979 0.270
Ga 0.541 0.771 0.687
Ga 0.395 0.209 0.729
Ga 0.646 0.415 0.687
Ga 0.355 0.041 0.771
Ga 0.209 0.479 0.813
Ga 0.791 0.521 0.186
Ga 0.979 0.709 0.814
Ga 0.479 0.665 0.271
Ga 0.146 0.459 0.230
Ga 0.729 0.959 0.313
Ga 0.855 0.085 0.314
Ga 0.771 0.541 0.686
Ga 0.959 0.729 0.314
Ga 0.709 0.896 0.730
Ga 0.271 0.585 0.229
Ga 0.415 0.645 0.686
Ga 0.021 0.291 0.187
Ga 0.291 0.105 0.271
Ga 0.521 0.335 0.730
Ga 0.895 0.165 0.186
Ga 0.085 0.854 0.313
Ga 0.104 0.835 0.813
Ga 0.604 0.791 0.270
Ga 0.041 0.354 0.770
Ga 0.835 0.021 0.729
Ga 0.459 0.145 0.229
Ga 0.665 0.396 0.187
Ga 0.229 0.915 0.770
Ga 0.585 0.271 0.230
Ga 0.335 0.605 0.814
Ga 0.915 0.229 0.771
Pt 0.140 0.140 0.000
Pt 0.360 0.360 0.000
Pt 0.802 0.698 0.500
Pt 0.198 0.302 0.500
Pt 0.052 0.052 0.603
Pt 0.890 0.390 0.500
Pt 0.390 0.890 0.500
Pt 0.610 0.110 0.500
Pt 0.640 0.640 0.000
Pt 0.948 0.552 0.000
Pt 0.698 0.198 0.897
Pt 0.860 0.860 0.000
Pt 0.448 0.448 0.397
Pt 0.552 0.948 0.000
Pt 0.110 0.610 0.500
Pt 0.302 0.802 0.103
CELL_PARAMETERS angstrom
-4.321 4.321 11.140
4.321 -4.321 11.140
4.321 4.321 -11.140
```


A relaxed structure of NaGeSbO5, computed with GGA-PBE. Values from VASP.

* space-group type: Pna2_1
* energy of formation from the pure elements: -2062 meV per atom
* total energy: -5.984 eV per atom
* crystal system: orthorhombic
* energy above the lowest structure with this stoichiometry: 19 meV/atom

Structure (Quantum ESPRESSO input):
```
&SYSTEM
  ibrav = 0, nat = 64, ntyp = 4
/
ATOMIC_SPECIES
Na 22.99 Na.upf
Ge 72.64 Ge.upf
Sb 121.76 Sb.upf
O 16.00 O.upf
ATOMIC_POSITIONS crystal
Na 0.800 0.733 0.341
Na 0.271 0.412 0.900
Na 0.229 0.412 0.400
Na 0.729 0.912 0.100
Na 0.300 0.233 0.159
Na 0.700 0.733 0.841
Na 0.200 0.233 0.659
Na 0.771 0.912 0.600
Ge 0.685 0.245 0.518
Ge 0.185 0.745 0.982
Ge 0.815 0.245 0.018
Ge 0.540 0.511 0.187
Ge 0.460 0.011 0.813
Ge 0.960 0.511 0.687
Ge 0.315 0.745 0.482
Ge 0.040 0.011 0.313
Sb 0.279 0.773 0.227
Sb 0.721 0.273 0.773
Sb 0.221 0.773 0.727
Sb 0.533 0.000 0.385
Sb 0.467 0.500 0.615
Sb 0.967 0.000 0.885
Sb 0.033 0.500 0.115
Sb 0.779 0.273 0.273
O 0.946 0.152 0.803
O 0.054 0.652 0.197
O 0.554 0.152 0.303
O 0.446 0.652 0.697
O 0.498 0.898 0.257
O 0.502 0.398 0.743
O 0.002 0.898 0.757
O 0.998 0.398 0.243
O 0.498 0.151 0.747
O 0.502 0.651 0.253
O 0.002 0.151 0.247
O 0.998 0.651 0.753
O 0.068 0.906 0.210
O 0.932 0.406 0.790
O 0.432 0.906 0.710
O 0.139 0.783 0.580
O 0.568 0.406 0.290
O 0.735 0.528 0.096
O 0.235 0.028 0.404
O 0.765 0.528 0.596
O 0.831 0.955 0.384
O 0.169 0.455 0.616
O 0.669 0.955 0.884
O 0.331 0.455 0.116
O 0.532 0.844 0.471
O 0.468 0.344 0.529
O 0.968 0.844 0.971
O 0.032 0.344 0.029
O 0.908 0.091 0.014
O 0.092 0.591 0.986
O 0.592 0.091 0.514
O 0.408 0.591 0.486
O 0.168 0.755 0.370
O 0.832 0.255 0.630
O 0.332 0.755 0.870
O 0.668 0.255 0.130
O 0.639 0.283 0.920
O 0.361 0.783 0.080
O 0.861 0.283 0.420
O 0.265 0.028 0.904
CELL_PARAMETERS angstrom
6.501 0.000 0.000
0.000 10.883 0.000
0.000 0.000 13.203
```


A relaxed structure of VRu3C, computed with GGA-PBE. Values from VASP.

* space-group type: Pm-3m
* energy of formation from the pure elements: 103 meV per atom
* total energy: -9.124 eV per atom
* crystal system: cubic

Structure (Quantum ESPRESSO input):
```
&SYSTEM
  ibrav = 0, nat = 5, ntyp = 3
/
ATOMIC_SPECIES
V 50.94 V.upf
Ru 101.07 Ru.upf
C 12.01 C.upf
ATOMIC_POSITIONS crystal
V 0.000 0.000 0.000
Ru 0.000 0.500 0.500
Ru 0.500 0.000 0.500
Ru 0.500 0.500 0.000
C 0.500 0.500 0.500
CELL_PARAMETERS angstrom
-1.841 -3.554 -0.078
1.564 -0.889 3.576
-3.192 1.614 1.797
```


no.,mass density (Mg/m³)
1,4.586
2,4.305
3,4.117
4,10.140
5,9.009
6,2.816
7,1.829
8,5.655
9,9.920
10,10.683
11,4.229
12,9.476